A relaxed structure of Ca3In2O6. Source: the Materials Project database, functional PBE.

a = 3.2623 Å, b = 11.0498 Å, c = 16.7584 Å
α = 90.00°, β = 90.00°, γ = 90.00°
Atoms (fractional coordinates):
Ca 0.0000 0.1148 0.0000
Ca 0.0000 0.1317 0.6016
Ca 0.0000 0.3682 0.3048
Ca 0.0000 0.6318 0.8048
Ca 0.0000 0.8683 0.1016
Ca 0.0000 0.8852 0.5000
Ca 0.5000 0.1577 0.8103
Ca 0.5000 0.3449 0.0955
Ca 0.5000 0.3817 0.4991
Ca 0.5000 0.6183 0.9991
Ca 0.5000 0.6551 0.5955
Ca 0.5000 0.8423 0.3103
In 0.0000 0.0957 0.2261
In 0.0000 0.3875 0.9111
In 0.0000 0.4019 0.6856
In 0.0000 0.5981 0.1856
In 0.0000 0.6125 0.4111
In 0.0000 0.9043 0.7261
In 0.5000 0.1191 0.4075
In 0.5000 0.8809 0.9075
O 0.0000 0.0081 0.8604
O 0.0000 0.2055 0.1223
O 0.0000 0.2459 0.4462
O 0.0000 0.2984 0.7931
O 0.0000 0.4748 0.0353
O 0.0000 0.5252 0.5353
O 0.0000 0.7016 0.2931
O 0.0000 0.7541 0.9462
O 0.0000 0.7945 0.6223
O 0.0000 0.9919 0.3604
O 0.5000 0.0317 0.5221
O 0.5000 0.0343 0.6982
O 0.5000 0.2052 0.2881
O 0.5000 0.2561 0.9499
O 0.5000 0.2943 0.6266
O 0.5000 0.4667 0.2077
O 0.5000 0.4827 0.3794
O 0.5000 0.5173 0.8794
O 0.5000 0.5333 0.7077
O 0.5000 0.7057 0.1266
O 0.5000 0.7439 0.4499
O 0.5000 0.7948 0.7881
O 0.5000 0.9657 0.1982
O 0.5000 0.9683 0.0221

A relaxed structure of Ca2In2O5. Source: the Materials Project database, functional PBE.

a = 5.9181 Å, b = 15.1602 Å, c = 5.8963 Å
α = 90.00°, β = 90.00°, γ = 90.00°
Atoms (fractional coordinates):
Ca 0.0582 0.1115 0.0194
Ca 0.0582 0.3885 0.0194
Ca 0.4418 0.6115 0.5194
Ca 0.4418 0.8885 0.5194
Ca 0.5582 0.1115 0.4806
Ca 0.5582 0.3885 0.4806
Ca 0.9418 0.6115 0.9806
Ca 0.9418 0.8885 0.9806
In 0.0000 0.0000 0.5000
In 0.0000 0.5000 0.5000
In 0.0704 0.2500 0.5476
In 0.4296 0.7500 0.0476
In 0.5000 0.0000 0.0000
In 0.5000 0.5000 0.0000
In 0.5704 0.2500 0.9524
In 0.9296 0.7500 0.4524
O 0.0595 0.6402 0.6130
O 0.0595 0.8598 0.6130
O 0.0755 0.7500 0.1181
O 0.1975 0.5303 0.1939
O 0.1975 0.9697 0.1939
O 0.3025 0.0303 0.6939
O 0.3025 0.4697 0.6939
O 0.4245 0.2500 0.6181
O 0.4405 0.1402 0.1130
O 0.4405 0.3598 0.1130
O 0.5595 0.6402 0.8870
O 0.5595 0.8598 0.8870
O 0.5755 0.7500 0.3819
O 0.6975 0.5303 0.3061
O 0.6975 0.9697 0.3061
O 0.8025 0.0303 0.8061
O 0.8025 0.4697 0.8061
O 0.9245 0.2500 0.8819
O 0.9405 0.1402 0.3870
O 0.9405 0.3598 0.3870

A relaxed structure of CaInO3. Source: the Materials Project database, functional PBE.

a = 4.1628 Å, b = 4.1628 Å, c = 4.1628 Å
α = 90.00°, β = 90.00°, γ = 90.00°
Atoms (fractional coordinates):
Ca 0.0000 0.0000 0.0000
In 0.5000 0.5000 0.5000
O 0.0000 0.5000 0.5000
O 0.5000 0.0000 0.5000
O 0.5000 0.5000 0.0000

Asked for density across the records above, the calculation gives 4.902, 4.894, 4.671 g cm⁻³ in order.
Asked for ΔE_f across the records above, the calculation gives -2.6930, -2.5403, -1.9804 eV/atom in order.